This record from the Materials Project describes an optimized crystal structure of Sm2InPd2. The functional is meta-GGA r2SCAN.

a b c (Å): 7.796 7.796 3.786
angles (deg): 90.00 90.00 90.00
Atoms (fractional coordinates):
Sm 0.175 0.325 0.000
Sm 0.325 0.825 0.000
Sm 0.675 0.175 0.000
Sm 0.825 0.675 0.000
In 0.000 0.000 0.500
In 0.500 0.500 0.500
Pd 0.127 0.627 0.500
Pd 0.373 0.127 0.500
Pd 0.627 0.873 0.500
Pd 0.873 0.373 0.500

* energy of formation from the pure elements: -902 meV per atom
* energy: -264.950 eV per cell
* space-group type: No. 127